# 1
Computed, not measured: Mg9Si5 after structural relaxation at the GGA-PBE level of DFT.

Unit cell a=6.885 b=7.359 c=13.015 alpha=85.35 beta=89.24 gamma=63.33
Fractional coordinates of all 28 atoms:
Mg: 0.000 0.000 0.000
Mg: 0.001 0.910 0.326
Mg: 0.014 0.551 0.470
Mg: 0.039 0.459 0.243
Mg: 0.105 0.393 0.895
Mg: 0.123 0.046 0.762
Mg: 0.218 0.831 0.556
Mg: 0.302 0.026 0.152
Mg: 0.363 0.651 0.888
Mg: 0.429 0.565 0.205
Mg: 0.463 0.399 0.680
Mg: 0.476 0.321 0.422
Mg: 0.520 0.257 0.029
Mg: 0.551 0.822 0.348
Mg: 0.703 0.975 0.822
Mg: 0.715 0.927 0.581
Mg: 0.729 0.619 0.037
Mg: 0.874 0.480 0.686
Si: 0.065 0.711 0.732
Si: 0.126 0.602 0.055
Si: 0.169 0.154 0.410
Si: 0.277 0.183 0.592
Si: 0.395 0.983 0.945
Si: 0.580 0.146 0.244
Si: 0.622 0.571 0.518
Si: 0.746 0.326 0.855
Si: 0.843 0.241 0.161
Si: 0.863 0.212 0.522

Results
size of the total moment = 0.00 μB per formula unit
ΔH_f (0 K) = 73 kJ/mol of formula units
space-group type = No. 1
calculated total energy = -2.9376 eV per atom
E above lowest polymorph = 0.137 eV per atom

=====

# 2
Computed, not measured: SmIO9 after structural relaxation at the GGA-PBE level of DFT.

Unit cell a=7.058 b=10.693 c=11.090 alpha=90.00 beta=128.89 gamma=90.00
Fractional coordinates of all 44 atoms:
Sm: 0.250 0.099 0.001
Sm: 0.250 0.401 0.501
Sm: 0.750 0.599 0.499
Sm: 0.750 0.901 0.999
I: 0.470 0.667 0.725
I: 0.470 0.833 0.225
I: 0.530 0.167 0.775
I: 0.530 0.333 0.275
O: 0.022 0.002 0.720
O: 0.022 0.498 0.220
O: 0.054 0.111 0.288
O: 0.054 0.389 0.788
O: 0.060 0.183 0.384
O: 0.060 0.317 0.884
O: 0.171 0.576 0.606
O: 0.171 0.924 0.106
O: 0.257 0.227 0.184
O: 0.257 0.273 0.684
O: 0.316 0.704 0.080
O: 0.316 0.796 0.580
O: 0.376 0.045 0.621
O: 0.376 0.455 0.121
O: 0.419 0.746 0.855
O: 0.419 0.754 0.355
O: 0.462 0.072 0.891
O: 0.462 0.428 0.391
O: 0.538 0.572 0.609
O: 0.538 0.928 0.109
O: 0.581 0.246 0.645
O: 0.581 0.254 0.145
O: 0.624 0.545 0.879
O: 0.624 0.955 0.379
O: 0.684 0.204 0.420
O: 0.684 0.296 0.920
O: 0.743 0.727 0.316
O: 0.743 0.773 0.816
O: 0.829 0.076 0.894
O: 0.829 0.424 0.394
O: 0.940 0.683 0.116
O: 0.940 0.817 0.616
O: 0.946 0.611 0.212
O: 0.946 0.889 0.712
O: 0.978 0.502 0.780
O: 0.978 0.998 0.280

Results
size of the total moment = 2.00 μB per formula unit
ΔH_f (0 K) = -575 kJ/mol of formula units
space-group type = No. 14
calculated total energy = -5.1579 eV per atom

=====

# 3
Computed, not measured: YAl7Cu5 after structural relaxation at the GGA-PBE level of DFT.

Unit cell a=6.669 b=6.669 c=6.669 alpha=135.12 beta=97.80 gamma=98.96
Fractional coordinates of all 13 atoms:
Y: 0.000 0.000 0.000
Al: 0.219 0.507 0.712
Al: 0.342 0.993 0.349
Al: 0.345 0.345 0.000
Al: 0.645 0.993 0.651
Al: 0.650 0.650 0.000
Al: 0.777 0.277 0.500
Al: 0.796 0.507 0.288
Cu: 0.000 0.004 0.499
Cu: 0.000 0.501 0.996
Cu: 0.223 0.723 0.500
Cu: 0.505 0.004 0.004
Cu: 0.505 0.501 0.501

Results
ΔH_f (0 K) = -433 kJ/mol of formula units
space-group type = No. 44
calculated total energy = -4.4358 eV per atom

=====

# 4
Computed, not measured: Sn5P6O25 after structural relaxation at the GGA-PBE level of DFT.

Unit cell a=10.099 b=10.099 c=10.099 alpha=49.63 beta=49.63 gamma=49.63
Fractional coordinates of all 36 atoms:
Sn: 0.000 0.000 0.000
Sn: 0.173 0.173 0.173
Sn: 0.428 0.428 0.428
Sn: 0.572 0.572 0.572
Sn: 0.827 0.827 0.827
P: 0.061 0.386 0.821
P: 0.179 0.939 0.614
P: 0.386 0.821 0.061
P: 0.614 0.179 0.939
P: 0.821 0.061 0.386
P: 0.939 0.614 0.179
O: 0.045 0.726 0.100
O: 0.088 0.437 0.136
O: 0.100 0.045 0.726
O: 0.103 0.785 0.726
O: 0.136 0.088 0.437
O: 0.167 0.442 0.599
O: 0.215 0.274 0.897
O: 0.274 0.897 0.215
O: 0.274 0.900 0.955
O: 0.401 0.833 0.558
O: 0.437 0.136 0.088
O: 0.442 0.599 0.167
O: 0.500 0.500 0.500
O: 0.558 0.401 0.833
O: 0.563 0.864 0.912
O: 0.599 0.167 0.442
O: 0.726 0.100 0.045
O: 0.726 0.103 0.785
O: 0.785 0.726 0.103
O: 0.833 0.558 0.401
O: 0.864 0.912 0.563
O: 0.897 0.215 0.274
O: 0.900 0.955 0.274
O: 0.912 0.563 0.864
O: 0.955 0.274 0.900

Results
size of the total moment = 0.01 μB per formula unit
ΔH_f (0 K) = -8389 kJ/mol of formula units
space-group type = No. 148
calculated total energy = -6.8332 eV per atom

=====

# 5
Computed, not measured: TlMo6S8 after structural relaxation at the GGA-PBE level of DFT.

Unit cell a=6.662 b=6.662 c=6.662 alpha=88.98 beta=88.98 gamma=88.98
Fractional coordinates of all 15 atoms:
Tl: 0.000 0.000 0.000
Mo: 0.229 0.413 0.563
Mo: 0.413 0.563 0.229
Mo: 0.437 0.771 0.587
Mo: 0.563 0.229 0.413
Mo: 0.587 0.437 0.771
Mo: 0.771 0.587 0.437
S: 0.124 0.733 0.393
S: 0.247 0.247 0.247
S: 0.267 0.607 0.876
S: 0.393 0.124 0.733
S: 0.607 0.876 0.267
S: 0.733 0.393 0.124
S: 0.753 0.753 0.753
S: 0.876 0.267 0.607

Results
size of the total moment = 0.00 μB per formula unit
ΔH_f (0 K) = -1325 kJ/mol of formula units
space-group type = No. 148
calculated total energy = -7.3495 eV per atom

=====

# 6
Computed, not measured: Ca5Al11TlSi13O48 after structural relaxation at the GGA-PBE level of DFT.

Unit cell a=12.321 b=12.396 c=12.546 alpha=89.50 beta=89.73 gamma=89.62
Fractional coordinates of all 78 atoms:
Ca: 0.000 0.000 0.000
Ca: 0.008 0.606 0.991
Ca: 0.614 0.611 0.990
Ca: 0.627 0.992 0.029
Ca: 0.812 0.802 0.405
Al: 0.172 0.795 0.042
Al: 0.439 0.979 0.212
Al: 0.440 0.792 0.036
Al: 0.620 0.801 0.828
Al: 0.621 0.173 0.216
Al: 0.802 0.984 0.832
Al: 0.809 0.441 0.046
Al: 0.812 0.611 0.824
Al: 0.813 0.172 0.034
Al: 0.994 0.169 0.218
Al: 0.994 0.797 0.829
Tl: 0.429 0.183 0.804
Si: 0.172 0.977 0.215
Si: 0.179 0.610 0.221
Si: 0.182 0.797 0.392
Si: 0.435 0.798 0.393
Si: 0.437 0.611 0.221
Si: 0.624 0.437 0.220
Si: 0.625 0.799 0.565
Si: 0.805 0.173 0.395
Si: 0.806 0.982 0.567
Si: 0.809 0.426 0.391
Si: 0.810 0.614 0.566
Si: 0.993 0.801 0.568
Si: 0.996 0.432 0.219
O: 0.019 0.809 0.691
O: 0.023 0.307 0.205
O: 0.088 0.784 0.932
O: 0.100 0.793 0.496
O: 0.108 0.501 0.235
O: 0.112 0.091 0.222
O: 0.119 0.910 0.111
O: 0.134 0.672 0.113
O: 0.144 0.902 0.323
O: 0.160 0.687 0.325
O: 0.300 0.987 0.201
O: 0.305 0.798 0.013
O: 0.307 0.801 0.434
O: 0.308 0.580 0.211
O: 0.453 0.686 0.327
O: 0.471 0.902 0.327
O: 0.480 0.671 0.112
O: 0.493 0.904 0.101
O: 0.504 0.100 0.201
O: 0.509 0.503 0.236
O: 0.514 0.789 0.499
O: 0.519 0.767 0.922
O: 0.599 0.313 0.204
O: 0.602 0.807 0.688
O: 0.676 0.925 0.868
O: 0.688 0.491 0.115
O: 0.695 0.147 0.334
O: 0.699 0.127 0.106
O: 0.700 0.688 0.854
O: 0.701 0.460 0.325
O: 0.705 0.901 0.517
O: 0.708 0.696 0.523
O: 0.802 0.992 0.691
O: 0.805 0.095 0.505
O: 0.807 0.302 0.434
O: 0.807 0.581 0.688
O: 0.809 0.523 0.933
O: 0.810 0.308 0.019
O: 0.811 0.509 0.493
O: 0.813 0.093 0.918
O: 0.912 0.903 0.522
O: 0.913 0.697 0.528
O: 0.915 0.145 0.331
O: 0.918 0.456 0.323
O: 0.919 0.911 0.868
O: 0.930 0.123 0.101
O: 0.933 0.486 0.114
O: 0.937 0.671 0.845

Results
size of the total moment = 0.00 μB per formula unit
ΔH_f (0 K) = -24019 kJ/mol of formula units
space-group type = No. 1
calculated total energy = -7.4050 eV per atom
E above lowest polymorph = 0.024 eV per atom

=====

# 7
Computed, not measured: CaCO3 after structural relaxation at the GGA-PBE level of DFT.

Unit cell a=7.238 b=7.238 c=9.451 alpha=111.75 beta=111.75 gamma=60.52
Fractional coordinates of all 30 atoms:
Ca: 0.000 0.500 0.500
Ca: 0.150 0.699 0.999
Ca: 0.301 0.850 0.501
Ca: 0.500 0.000 0.000
Ca: 0.699 0.150 0.499
Ca: 0.850 0.301 0.001
C: 0.082 0.294 0.765
C: 0.294 0.082 0.265
C: 0.450 0.550 0.750
C: 0.550 0.450 0.250
C: 0.706 0.918 0.735
C: 0.918 0.706 0.235
O: 0.043 0.156 0.637
O: 0.067 0.475 0.755
O: 0.136 0.258 0.903
O: 0.156 0.043 0.137
O: 0.258 0.136 0.403
O: 0.318 0.592 0.617
O: 0.373 0.627 0.250
O: 0.408 0.682 0.883
O: 0.475 0.067 0.255
O: 0.525 0.933 0.745
O: 0.592 0.318 0.117
O: 0.627 0.373 0.750
O: 0.682 0.408 0.383
O: 0.742 0.864 0.597
O: 0.844 0.957 0.863
O: 0.864 0.742 0.097
O: 0.933 0.525 0.245
O: 0.957 0.844 0.363

Results
ΔH_f (0 K) = -1293 kJ/mol of formula units
space-group type = No. 15
calculated total energy = -7.4828 eV per atom

=====

# 8
Computed, not measured: Tb2GdGa5O12 after structural relaxation at the GGA-PBE level of DFT.

Unit cell a=10.795 b=10.795 c=10.795 alpha=109.47 beta=109.47 gamma=109.48
Fractional coordinates of all 80 atoms:
Tb: 0.000 0.000 0.000
Tb: 0.000 0.625 0.875
Tb: 0.250 0.750 0.500
Tb: 0.375 0.000 0.125
Tb: 0.500 0.500 0.000
Tb: 0.750 0.125 0.125
Tb: 0.750 0.250 0.500
Tb: 0.875 0.250 0.875
Gd: 0.250 0.125 0.625
Gd: 0.375 0.500 0.625
Gd: 0.500 0.625 0.375
Gd: 0.875 0.750 0.375
Ga: 0.000 0.125 0.375
Ga: 0.000 0.500 0.500
Ga: 0.124 0.375 0.250
Ga: 0.125 0.375 0.750
Ga: 0.125 0.875 0.250
Ga: 0.125 0.875 0.750
Ga: 0.250 0.250 0.000
Ga: 0.250 0.625 0.125
Ga: 0.375 0.250 0.375
Ga: 0.375 0.750 0.875
Ga: 0.500 0.000 0.500
Ga: 0.500 0.125 0.875
Ga: 0.625 0.374 0.250
Ga: 0.625 0.875 0.250
Ga: 0.625 0.876 0.750
Ga: 0.626 0.375 0.750
Ga: 0.750 0.625 0.625
Ga: 0.750 0.750 0.000
Ga: 0.875 0.000 0.625
Ga: 0.875 0.500 0.125
O: 0.002 0.169 0.222
O: 0.002 0.458 0.655
O: 0.030 0.958 0.629
O: 0.031 0.697 0.277
O: 0.042 0.970 0.371
O: 0.043 0.697 0.545
O: 0.097 0.252 0.044
O: 0.097 0.470 0.928
O: 0.151 0.280 0.572
O: 0.152 0.498 0.455
O: 0.208 0.053 0.956
O: 0.208 0.780 0.127
O: 0.220 0.053 0.222
O: 0.220 0.792 0.873
O: 0.246 0.581 0.277
O: 0.248 0.293 0.846
O: 0.303 0.957 0.455
O: 0.303 0.969 0.723
O: 0.330 0.401 0.371
O: 0.331 0.553 0.834
O: 0.419 0.754 0.723
O: 0.420 0.292 0.572
O: 0.447 0.402 0.154
O: 0.447 0.669 0.166
O: 0.502 0.848 0.545
O: 0.504 0.281 0.834
O: 0.530 0.252 0.333
O: 0.530 0.903 0.072
O: 0.542 0.169 0.072
O: 0.542 0.998 0.345
O: 0.598 0.553 0.846
O: 0.599 0.670 0.629
O: 0.653 0.081 0.873
O: 0.653 0.197 0.655
O: 0.707 0.752 0.154
O: 0.708 0.580 0.428
O: 0.719 0.496 0.166
O: 0.720 0.849 0.428
O: 0.748 0.470 0.667
O: 0.748 0.903 0.956
O: 0.803 0.081 0.333
O: 0.803 0.347 0.345
O: 0.831 0.458 0.928
O: 0.831 0.998 0.778
O: 0.919 0.197 0.667
O: 0.919 0.347 0.127
O: 0.947 0.780 0.778
O: 0.947 0.792 0.044

Results
size of the total moment = 7.00 μB per formula unit
ΔH_f (0 K) = -5708 kJ/mol of formula units
space-group type = No. 98
calculated total energy = -7.4385 eV per atom

=====

# 9
Computed, not measured: Mg2Sb2O5 after structural relaxation at the GGA-PBE level of DFT.

Unit cell a=7.903 b=12.735 c=3.169 alpha=90.00 beta=90.00 gamma=90.00
Fractional coordinates of all 18 atoms:
Mg: 0.084 0.098 0.000
Mg: 0.416 0.598 0.000
Mg: 0.584 0.402 0.000
Mg: 0.916 0.902 0.000
Sb: 0.215 0.330 0.500
Sb: 0.285 0.830 0.500
Sb: 0.715 0.170 0.500
Sb: 0.785 0.670 0.500
O: 0.000 0.000 0.500
O: 0.129 0.816 0.000
O: 0.182 0.180 0.500
O: 0.318 0.680 0.500
O: 0.371 0.316 0.000
O: 0.500 0.500 0.500
O: 0.629 0.684 0.000
O: 0.682 0.320 0.500
O: 0.818 0.820 0.500
O: 0.871 0.184 0.000

Results
size of the total moment = 0.00 μB per formula unit
ΔH_f (0 K) = -1860 kJ/mol of formula units
space-group type = No. 55
calculated total energy = -5.7822 eV per atom

=====

# 10
Computed, not measured: Y5In4Pd2 after structural relaxation at the GGA-PBE level of DFT.

Unit cell a=8.122 b=18.370 c=3.662 alpha=90.00 beta=90.00 gamma=90.00
Fractional coordinates of all 22 atoms:
Y: 0.000 0.000 0.000
Y: 0.119 0.419 0.000
Y: 0.240 0.218 0.000
Y: 0.260 0.718 0.000
Y: 0.381 0.919 0.000
Y: 0.500 0.500 0.000
Y: 0.619 0.081 0.000
Y: 0.740 0.282 0.000
Y: 0.760 0.782 0.000
Y: 0.881 0.581 0.000
In: 0.079 0.850 0.500
In: 0.210 0.568 0.500
In: 0.290 0.068 0.500
In: 0.421 0.350 0.500
In: 0.579 0.650 0.500
In: 0.710 0.932 0.500
In: 0.790 0.432 0.500
In: 0.921 0.150 0.500
Pd: 0.026 0.305 0.500
Pd: 0.474 0.805 0.500
Pd: 0.526 0.195 0.500
Pd: 0.974 0.695 0.500

Results
ΔH_f (0 K) = -747 kJ/mol of formula units
space-group type = No. 55
calculated total energy = -5.5851 eV per atom